# Li4Ti3Mn4Co2O18

A geometry-optimized Li4Ti3Mn4Co2O18 structure (PBE with a Hubbard U, the Materials Project database).

abc: 2.907 8.913 25.071
angles: 90.00 90.00 90.00
Positions (direct):
Li 0.000 0.049 0.000
Li 0.000 0.062 0.778
Li 0.000 0.431 0.788
Li 0.000 0.436 0.586
Li 0.000 0.564 0.086
Li 0.000 0.569 0.288
Li 0.000 0.938 0.278
Li 0.000 0.951 0.500
Ti 0.000 0.243 0.679
Ti 0.000 0.245 0.891
Ti 0.000 0.755 0.391
Ti 0.000 0.757 0.179
Ti 0.500 0.390 0.983
Ti 0.500 0.610 0.483
Mn 0.000 0.210 0.102
Mn 0.000 0.266 0.478
Mn 0.000 0.734 0.978
Mn 0.000 0.790 0.602
Mn 0.500 0.116 0.372
Mn 0.500 0.385 0.202
Mn 0.500 0.615 0.702
Mn 0.500 0.884 0.872
Co 0.000 0.253 0.288
Co 0.000 0.747 0.788
Co 0.500 0.105 0.593
Co 0.500 0.895 0.093
O 0.000 0.027 0.872
O 0.000 0.058 0.643
O 0.000 0.145 0.547
O 0.000 0.245 0.212
O 0.000 0.257 0.365
O 0.000 0.355 0.031
O 0.000 0.430 0.930
O 0.000 0.471 0.701
O 0.000 0.529 0.201
O 0.000 0.570 0.430
O 0.000 0.645 0.531
O 0.000 0.743 0.865
O 0.000 0.755 0.712
O 0.000 0.855 0.047
O 0.000 0.942 0.143
O 0.000 0.973 0.372
O 0.500 0.097 0.068
O 0.500 0.109 0.295
O 0.500 0.143 0.449
O 0.500 0.193 0.947
O 0.500 0.202 0.728
O 0.500 0.290 0.844
O 0.500 0.306 0.626
O 0.500 0.342 0.127
O 0.500 0.396 0.502
O 0.500 0.397 0.280
O 0.500 0.603 0.780
O 0.500 0.604 0.002
O 0.500 0.658 0.627
O 0.500 0.694 0.126
O 0.500 0.710 0.344
O 0.500 0.798 0.228
O 0.500 0.807 0.447
O 0.500 0.857 0.949
O 0.500 0.891 0.795
O 0.500 0.903 0.568

Calculated values
raw total energy = -7.14 eV/atom
SG = No. 26
total magnetization = 28.00 Bohr magnetons per cell
ΔE_f = -2338 meV per atom